Entry from the Materials Project: a relaxed Ca4La4Mn7NiO24 crystal (GGA+U).

## Properties
ΔE_f	-62.7	kcal/mol of atoms
symmetry	P1 (1)
E (MP2020)	-325.17	eV for the cell shown

Structure (POSCAR):
```
Ca4La4Mn7NiO24
1.0
-3.5387 -3.0500 2.8585
-0.6541 -6.0415 -7.2432
6.5691 -6.7476 0.9556
O Ni Ca Mn La
24 1 4 7 4
Direct
0.5201 0.8328 0.9176
0.2342 0.0865 0.8749
0.2155 0.5904 0.3688
0.2725 0.5941 0.8632
0.7788 0.9056 0.1345
0.2764 0.8810 0.1633
0.7246 0.6197 0.3382
0.7281 0.9061 0.6350
0.2238 0.8830 0.6610
0.7618 0.4096 0.6288
0.7212 0.4086 0.1292
0.7707 0.6153 0.8419
0.7191 0.1130 0.8524
0.5145 0.3410 0.4107
0.2214 0.3794 0.1576
0.0119 0.1599 0.5813
0.9944 0.3466 0.9120
0.0218 0.6673 0.0847
0.9847 0.8397 0.4083
0.2812 0.3881 0.6500
0.4940 0.1566 0.0913
0.7745 0.1169 0.3450
0.4908 0.6650 0.5857
0.2789 0.0890 0.3690
0.0009 0.2484 0.7481
0.9682 0.3812 0.3700
0.9694 0.8804 0.8717
0.5332 0.8793 0.3673
0.4683 0.6197 0.1338
0.0000 0.5029 0.0041
0.0010 0.0018 0.4997
0.4993 0.9914 0.0006
0.4999 0.7521 0.7520
0.0012 0.7476 0.2478
0.5009 0.5045 0.4964
0.5001 0.2519 0.2517
0.4778 0.1236 0.6290
0.0201 0.6230 0.6240
0.0225 0.1207 0.1272
0.5224 0.3763 0.8724
```

---

Entry from the Materials Project: a relaxed Ca2LaMn3O9 crystal (GGA+U).

## Properties
ΔE_f	-62.0	kcal/mol of atoms
symmetry	Pnma (62)
E (MP2020)	-485.07	eV for the cell shown

Structure (POSCAR):
```
Ca2LaMn3O9
1.0
-3.5492 1.5809 3.8016
3.1469 -4.9775 5.0080
10.4527 11.5814 4.9426
Ca O Mn La
8 36 12 4
Direct
0.4892 0.2500 0.4865
0.5108 0.7500 0.5135
0.0108 0.2500 0.9865
0.9892 0.7500 0.0135
0.9950 0.7500 0.6779
0.0050 0.2500 0.3221
0.4950 0.2500 0.8221
0.5050 0.7500 0.1779
0.5820 0.2500 0.0064
0.4378 0.7500 0.3283
0.7083 0.9605 0.0959
0.2847 0.4562 0.5714
0.4180 0.7500 0.9936
0.9378 0.2500 0.1717
0.7230 0.9674 0.7599
0.7847 0.5438 0.9286
0.7770 0.9674 0.2599
0.7917 0.5395 0.5959
0.2918 0.4605 0.9041
0.7230 0.5326 0.7599
0.2230 0.0326 0.7401
0.2918 0.0395 0.9041
0.7153 0.5438 0.4286
0.2082 0.0395 0.4041
0.2847 0.0438 0.5714
0.0729 0.7500 0.1636
0.2153 0.4562 0.0714
0.5622 0.2500 0.6717
0.2153 0.0438 0.0714
0.7917 0.9605 0.5959
0.9271 0.2500 0.8364
0.9180 0.2500 0.5064
0.2770 0.4674 0.2401
0.7770 0.5326 0.2599
0.0820 0.7500 0.4936
0.5729 0.2500 0.3364
0.2082 0.4605 0.4041
0.7153 0.9562 0.4286
0.2230 0.4674 0.7401
0.7847 0.9562 0.9286
0.7083 0.5395 0.0959
0.0622 0.7500 0.8283
0.4271 0.7500 0.6636
0.2770 0.0326 0.2401
0.4992 0.4988 0.3352
0.9992 0.5012 0.1648
0.5008 0.9988 0.6648
0.5000 0.0000 0.0000
0.4992 0.0012 0.3352
0.5008 0.5012 0.6648
0.0000 0.5000 0.5000
0.5000 0.5000 0.0000
0.9992 0.9988 0.1648
0.0008 0.0012 0.8352
0.0008 0.4988 0.8352
0.0000 0.0000 0.5000
0.5043 0.7500 0.8407
0.9957 0.7500 0.3407
0.0043 0.2500 0.6593
0.4957 0.2500 0.1593
```

---

Entry from the Materials Project: a relaxed Ca3LaMn4O12 crystal (GGA+U).

## Properties
ΔE_f	-60.9	kcal/mol of atoms
excess energy over the best structure of this formula in the dataset	0	meV per atom
symmetry	Pm (6)
E (MP2020)	-159.81	eV for the cell shown

Structure (POSCAR):
```
Ca3LaMn4O12
1.0
0.8070 -5.3922 -0.1975
2.7730 0.5961 -4.6187
6.4768 0.8235 3.9953
La Mn O Ca
1 4 12 3
Direct
0.0288 0.9954 0.2500
0.4997 0.9998 0.9958
0.4998 0.0000 0.5044
0.0008 0.5001 0.5048
0.0008 0.5001 0.9951
0.7162 0.2843 0.5414
0.5173 0.9194 0.7500
0.9829 0.4373 0.2500
0.2842 0.7159 0.0435
0.7824 0.7825 0.0347
0.2113 0.2096 0.9616
0.2842 0.7158 0.4565
0.0262 0.5794 0.7500
0.4941 0.0758 0.2500
0.2113 0.2096 0.5384
0.7163 0.2842 0.9586
0.7824 0.7825 0.4653
0.4637 0.4905 0.7500
0.5390 0.5088 0.2500
0.9585 0.0090 0.7500
```

---

Entry from the Materials Project: a relaxed Ca3LaMn4O12 crystal (GGA+U).

## Properties
ΔE_f	-60.6	kcal/mol of atoms
excess energy over the best structure of this formula in the dataset	12	meV per atom
symmetry	P1 (1)
E (MP2020)	-159.56	eV for the cell shown

Structure (POSCAR):
```
Ca3LaMn4O12
1.0
1.5513 -0.5905 -5.1662
-3.2577 4.1170 -1.3255
5.7675 4.9296 1.1219
Mn O Ca La
4 12 3 1
Direct
0.0007 0.5000 0.5058
0.4997 0.9993 0.5049
0.0004 0.5014 0.9953
0.4997 0.0004 0.9951
0.2853 0.7142 0.4581
0.9790 0.4376 0.2409
0.2137 0.2096 0.9606
0.2838 0.7174 0.0469
0.5181 0.9169 0.7512
0.0278 0.5793 0.7598
0.7172 0.2830 0.9535
0.7722 0.7958 0.4648
0.4937 0.0790 0.2476
0.7158 0.2841 0.5406
0.7807 0.7828 0.0358
0.2227 0.1957 0.5382
0.5374 0.5115 0.2530
0.9602 0.0061 0.7477
0.4641 0.4873 0.7469
0.0279 0.9987 0.2534
```

---

Entry from the Materials Project: a relaxed CaLaPrMnO6 crystal (GGA+U).

## Properties
ΔE_f	-68.6	kcal/mol of atoms
symmetry	F-43m (216)
E (MP2020)	-80.33	eV for the cell shown

Structure (POSCAR):
```
CaLaPrMnO6
1.0
0.0000 -4.0304 -4.0304
4.0304 0.0000 -4.0304
4.0304 -4.0304 0.0000
O Ca Pr La Mn
6 1 1 1 1
Direct
0.2668 0.2668 0.7332
0.7332 0.7332 0.2668
0.7332 0.2668 0.2668
0.7332 0.2668 0.7332
0.2668 0.7332 0.7332
0.2668 0.7332 0.2668
0.0000 0.0000 0.0000
0.2500 0.2500 0.2500
0.7500 0.7500 0.7500
0.5000 0.5000 0.5000
```

---

Entry from the Materials Project: a relaxed CaLaMnRuO6 crystal (GGA+U).

## Properties
ΔE_f	-59.4	kcal/mol of atoms
symmetry	Pc (7)
E (MP2020)	-161.69	eV for the cell shown

Structure (POSCAR):
```
CaLaMnRuO6
1.0
-4.3953 3.1646 -1.2531
-1.8487 -4.0065 -3.6339
-4.0991 -3.4179 5.8537
O Mn Ru Ca La
12 2 2 2 2
Direct
0.7166 0.7014 0.9498
0.7889 0.1941 0.5509
0.3096 0.2868 0.4459
0.0938 0.5334 0.7596
0.6963 0.7147 0.5529
0.8983 0.4695 0.2396
0.2166 0.7986 0.4498
0.3983 0.0305 0.7396
0.5938 0.9666 0.2596
0.2889 0.3059 0.0509
0.1963 0.7853 0.0529
0.8096 0.2132 0.9459
0.5004 0.9984 0.9995
0.0004 0.5016 0.4995
0.0002 0.5008 0.0008
0.5002 0.9992 0.5008
0.9846 0.9443 0.7504
0.4846 0.5557 0.2504
0.0114 0.0468 0.2507
0.5114 0.4532 0.7507
```

---

Entry from the Materials Project: a relaxed Ca9LaTi9MnO30 crystal (GGA+U).

## Properties
ΔE_f	-80.6	kcal/mol of atoms
symmetry	Pm (6)
E (MP2020)	-852.62	eV for the cell shown

Structure (POSCAR):
```
Ca9LaTi9MnO30
1.0
-1.9959 -0.6566 -5.0123
-3.9640 -3.2749 2.0011
-22.7866 30.6709 5.0561
Ti O Ca Mn La
18 60 18 2 2
Direct
0.0002 0.4997 0.9031
0.4975 0.0000 0.6005
0.0062 0.4973 0.0014
0.9999 0.4997 0.2004
0.9999 0.4997 0.4996
0.4975 0.0000 0.0995
0.4999 0.9995 0.5003
0.5077 0.9986 0.9997
0.9998 0.4999 0.3001
0.4998 0.9999 0.4001
0.0002 0.4997 0.7969
0.0062 0.4973 0.6986
0.4999 0.9995 0.1997
0.4998 0.9999 0.2999
0.5077 0.9986 0.7003
0.9998 0.4999 0.3999
0.9977 0.5005 0.1007
0.9977 0.5005 0.5993
0.2155 0.2162 0.1088
0.7801 0.7756 0.8084
0.7146 0.2869 0.0092
0.7844 0.7837 0.4087
0.9178 0.5193 0.1499
0.2155 0.2164 0.3087
0.5865 0.0223 0.9521
0.2126 0.2183 0.7086
0.4172 0.9805 0.6494
0.2840 0.7160 0.3913
0.2840 0.7163 0.5087
0.2838 0.7157 0.1088
0.5816 0.0196 0.3500
0.2840 0.7163 0.1913
0.5816 0.0194 0.1502
0.5865 0.0223 0.7479
0.2155 0.2162 0.5912
0.2830 0.7164 0.9914
0.7159 0.2841 0.4087
0.4332 0.9936 0.8500
0.4184 0.9807 0.4499
0.2115 0.2200 0.7912
0.7146 0.2869 0.6908
0.9178 0.5193 0.5501
0.2770 0.7128 0.7917
0.7801 0.7756 0.8916
0.2126 0.2183 0.9914
0.7844 0.7837 0.2913
0.9150 0.5228 0.9506
0.2155 0.2164 0.3913
0.2830 0.7164 0.7086
0.2115 0.2200 0.9088
0.7164 0.2841 0.2087
0.0831 0.4807 0.0500
0.7159 0.2841 0.2913
0.7842 0.7853 0.0093
0.7842 0.7853 0.6907
0.0820 0.4806 0.4500
0.0697 0.4894 0.8500
0.4172 0.9805 0.0506
0.5816 0.0194 0.5498
0.7164 0.2841 0.4913
0.2840 0.7160 0.3087
0.0831 0.4807 0.6500
0.7165 0.2837 0.0913
0.0820 0.4806 0.2500
0.7845 0.7836 0.4913
0.2157 0.2167 0.1912
0.9150 0.5228 0.7494
0.7247 0.2835 0.8081
0.2770 0.7128 0.9083
0.7846 0.7829 0.6087
0.9180 0.5196 0.3500
0.7165 0.2837 0.6087
0.2157 0.2167 0.5088
0.7247 0.2835 0.8919
0.7846 0.7829 0.0913
0.7845 0.7836 0.2087
0.2838 0.7157 0.5912
0.4184 0.9807 0.2501
0.4876 0.4590 0.5500
0.0121 0.9614 0.9512
0.0121 0.9614 0.7488
0.5117 0.5409 0.4500
0.0116 0.9593 0.3500
0.4881 0.4589 0.3500
0.4876 0.4590 0.1500
0.5117 0.5409 0.2500
0.4890 0.4581 0.9510
0.9883 0.0404 0.4500
0.9883 0.0404 0.2500
0.5131 0.5410 0.0502
0.5131 0.5410 0.6498
0.0111 0.9599 0.5499
0.9892 0.0399 0.0503
0.4890 0.4581 0.7490
0.0111 0.9599 0.1501
0.9892 0.0399 0.6497
0.4985 0.0001 0.7984
0.4985 0.0001 0.9016
0.9914 0.0285 0.8500
0.5066 0.5303 0.8500
```

---

Entry from the Materials Project: a relaxed Ca9LaTi4Mn6O30 crystal (GGA+U).

## Properties
ΔE_f	-68.8	kcal/mol of atoms
symmetry	P1 (1)
E (MP2020)	-814.12	eV for the cell shown

Structure (POSCAR):
```
Ca9LaTi4Mn6O30
1.0
-4.3629 1.1832 2.9454
-1.4694 -5.2394 -0.0537
20.0888 -5.9256 32.1332
O Ca Mn La Ti
60 18 12 2 8
Direct
0.0736 0.4845 0.2499
0.2820 0.7213 0.9917
0.2838 0.7202 0.5923
0.5827 0.0173 0.3497
0.9275 0.5149 0.7502
0.2194 0.2172 0.1917
0.7810 0.7832 0.2082
0.0722 0.4856 0.0497
0.2855 0.7195 0.7082
0.7799 0.7836 0.2917
0.7143 0.2803 0.8079
0.2191 0.2159 0.7920
0.7202 0.2767 0.0076
0.4245 0.9938 0.4501
0.5852 0.0198 0.7498
0.7213 0.2797 0.8916
0.4145 0.9806 0.6504
0.7803 0.7838 0.6919
0.2849 0.7192 0.7918
0.7793 0.7822 0.4087
0.0719 0.4846 0.6499
0.2179 0.2153 0.5919
0.4164 0.9816 0.2499
0.2240 0.2195 0.9926
0.5825 0.0178 0.5511
0.7877 0.7852 0.8917
0.2809 0.7201 0.9080
0.7807 0.7800 0.4920
0.7784 0.7833 0.6083
0.2832 0.7200 0.3081
0.7150 0.2805 0.0918
0.2209 0.2204 0.5084
0.2253 0.2215 0.3923
0.7817 0.7838 0.0075
0.2877 0.7143 0.5082
0.0743 0.4859 0.8502
0.7149 0.2803 0.6920
0.2843 0.7182 0.1080
0.7800 0.7833 0.8080
0.7122 0.2813 0.6081
0.5830 0.0187 0.1501
0.7134 0.2822 0.2920
0.7231 0.2775 0.4930
0.4176 0.9789 0.8489
0.7209 0.2765 0.4073
0.9301 0.5051 0.9492
0.2876 0.7185 0.3926
0.2848 0.7187 0.1919
0.5639 0.0143 0.9498
0.7157 0.2810 0.2080
0.2180 0.2171 0.3084
0.9260 0.5153 0.1500
0.4179 0.9798 0.0502
0.2236 0.2230 0.9070
0.2202 0.2167 0.7083
0.7800 0.7819 0.0918
0.2181 0.2159 0.1081
0.9266 0.5173 0.5497
0.0594 0.4877 0.4508
0.9269 0.5175 0.3504
0.4926 0.4599 0.7500
0.0132 0.9673 0.3496
0.9877 0.0338 0.0512
0.0123 0.9659 0.5500
0.4913 0.4603 0.5513
0.4918 0.4590 0.1501
0.4917 0.4640 0.9484
0.4926 0.4597 0.3486
0.5078 0.5410 0.2495
0.9865 0.0346 0.2498
0.5074 0.5401 0.6503
0.9880 0.0372 0.8488
0.0131 0.9657 0.1503
0.5070 0.5383 0.0506
0.0134 0.9660 0.7498
0.9898 0.0336 0.4517
0.9861 0.0345 0.6500
0.5099 0.5368 0.8498
0.5023 0.9993 0.3993
0.4993 0.0002 0.6006
0.5013 0.0001 0.8981
0.5002 0.0000 0.7001
0.4996 0.9997 0.7995
0.0017 0.4995 0.8985
0.4989 0.0004 0.2997
0.5000 0.9993 0.1002
0.9995 0.5005 0.5017
0.5004 0.0002 0.5018
0.4987 0.9997 0.0008
0.5003 0.0001 0.1999
0.5036 0.5272 0.4516
0.0057 0.9750 0.9484
0.9994 0.4993 0.3987
0.0013 0.5003 0.6004
0.9999 0.4999 0.7000
0.0005 0.5013 0.2992
0.9990 0.4999 0.1006
0.9999 0.4991 0.0011
0.9998 0.4999 0.1999
0.9991 0.5020 0.7997
```